Entry 1:
A plane-wave DFT calculation with PBE was carried out for crystalline LiGd6B3O14 at its relaxed geometry.

Lattice parameters (Å, degrees): 8.539 15.800 12.195 90.00 132.29 90.00
Space group P2_1/c (No. 14)
Unique sites:
Li 0.116 0.106 0.438
Gd 0.016 0.674 0.555
Gd 0.152 0.644 0.925
Gd 0.237 0.504 0.437
Gd 0.335 0.014 0.283
Gd 0.413 0.666 0.334
Gd 0.448 0.178 0.806
B 0.043 0.193 0.223
B 0.208 0.000 0.645
B 0.457 0.173 0.527
O 0.049 0.724 0.226
O 0.054 0.108 0.203
O 0.066 0.579 0.721
O 0.115 0.249 0.677
O 0.147 0.084 0.618
O 0.177 0.551 0.220
O 0.277 0.732 0.122
O 0.285 0.585 0.623
O 0.297 0.098 0.104
O 0.303 0.533 0.095
O 0.361 0.203 0.576
O 0.449 0.732 0.997
O 0.473 0.089 0.964
O 0.477 0.088 0.510

Values from the calculation:
Electronic total energy, eV/atom: -10.46
Total magnetization, μB per formula unit: 42.0
E_form, eV per formula unit: -84.928

Entry 2:
A plane-wave DFT calculation with PBE was carried out for crystalline GdMgB5O10 at its relaxed geometry.

Lattice parameters (Å, degrees): 8.725 7.651 12.522 90.00 131.18 90.00
Space group P2_1/c (No. 14)
Unique sites:
Gd 0.051 0.189 0.238
Mg 0.478 0.590 0.874
B 0.091 0.672 0.607
B 0.154 0.598 0.999
B 0.275 0.031 0.054
B 0.347 0.578 0.262
B 0.480 0.188 0.913
O 0.026 0.727 0.983
O 0.088 0.105 0.916
O 0.116 0.545 0.880
O 0.203 0.714 0.235
O 0.235 0.528 0.647
O 0.315 0.534 0.131
O 0.317 0.086 0.807
O 0.324 0.628 0.509
O 0.426 0.151 0.428
O 0.448 0.151 0.131

Values from the calculation:
Electronic total energy, eV/atom: -8.49
Total magnetization, μB per formula unit: 7.0
E_form, eV per formula unit: -52.616

Entry 3:
A plane-wave DFT calculation with PBE was carried out for crystalline GdB4Mo at its relaxed geometry.

Lattice parameters (Å, degrees): 6.069 11.736 3.656 90.00 90.00 90.00
Space group Pbam (No. 55)
Unique sites:
Gd 0.126 0.150 0.000
B 0.024 0.693 0.500
B 0.114 0.547 0.500
B 0.134 0.968 0.500
B 0.215 0.814 0.500
Mo 0.129 0.417 0.000

Values from the calculation:
Electronic total energy, eV/atom: -9.21
Total magnetization, μB per formula unit: 7.0
E_form, eV per formula unit: -3.615

Entry 4:
A plane-wave DFT calculation with PBE was carried out for crystalline Na2Gd2B2O7 at its relaxed geometry.

Lattice parameters (Å, degrees): 10.759 6.372 10.436 90.00 117.90 90.00
Space group P2_1/c (No. 14)
Unique sites:
Na 0.023 0.058 0.259
Na 0.110 0.724 0.048
Gd 0.315 0.081 0.912
Gd 0.483 0.543 0.182
B 0.183 0.246 0.578
B 0.290 0.652 0.850
O 0.101 0.170 0.942
O 0.130 0.146 0.659
O 0.184 0.744 0.866
O 0.330 0.236 0.132
O 0.347 0.745 0.270
O 0.349 0.041 0.412
O 0.475 0.622 0.598

Values from the calculation:
Electronic total energy, eV/atom: -8.82
Total magnetization, μB per formula unit: 14.0
E_form, eV per formula unit: -40.741

Entry 5:
A plane-wave DFT calculation with PBE was carried out for crystalline Gd4NiB13 at its relaxed geometry.

Lattice parameters (Å, degrees): 7.358 7.358 6.980 90.00 90.00 90.00
Space group P4/mnc (No. 128)
Unique sites:
Gd 0.180 0.315 0.000
Ni 0.000 0.000 0.500
B 0.000 0.000 0.000
B 0.040 0.830 0.244
B 0.093 0.593 0.250

Values from the calculation:
Electronic total energy, eV/atom: -8.70
Total magnetization, μB per formula unit: 27.9
E_form, eV per formula unit: -7.678

Entry 6:
A plane-wave DFT calculation with PBE was carried out for crystalline Gd2NiB10 at its relaxed geometry.

Lattice parameters (Å, degrees): 5.569 11.098 4.151 90.00 90.00 90.00
Space group Pbam (No. 55)
Unique sites:
Gd 0.192 0.137 0.000
Ni 0.000 0.500 0.500
B 0.036 0.312 0.500
B 0.126 0.959 0.500
B 0.155 0.803 0.500
B 0.204 0.386 0.200

Values from the calculation:
Electronic total energy, eV/atom: -8.28
E_form, eV per formula unit: -6.868

Entry 7:
A plane-wave DFT calculation with PBE was carried out for crystalline Gd3Ni7B2 at its relaxed geometry.

Lattice parameters (Å, degrees): 5.109 8.881 14.338 90.00 90.00 90.00
Space group Cmcm (No. 63)
Unique sites:
Gd 0.000 0.167 0.031
Gd 0.000 0.167 0.250
Ni 0.000 0.335 0.650
Ni 0.000 0.500 0.000
Ni 0.248 0.417 0.150
B 0.000 0.167 0.750
B 0.000 0.500 0.250

Values from the calculation:
Electronic total energy, eV/atom: -8.48
Total magnetization, μB per formula unit: 21.2
E_form, eV per formula unit: -5.712

Entry 8:
A plane-wave DFT calculation with PBE was carried out for crystalline Gd5B3O13 at its relaxed geometry.

Lattice parameters (Å, degrees): 9.0621 9.0621 6.8418 90.00 90.00 120.00
Space group P6_3/m (No. 176)
Unique sites:
Gd 0.0115 0.2508 0.2500
Gd 0.3333 0.6667 0.5014
B 0.0303 0.3998 0.7500
O 0.0000 0.0000 0.2500
O 0.0887 0.3467 0.5736
O 0.1242 0.5887 0.7500
O 0.1549 0.6726 0.2500

Values from the calculation:
Electronic total energy, eV/atom: -10.33
Total magnetization, μB per formula unit: 33.0
E_form, eV per formula unit: -71.191